Entry 1:
VASP calculation (PBE) on LiMg16Al12 after structural relaxation.

Output
- Energy: -73.30 eV per cell
- Calculated volume: 582.2 Å³ per cell
- Energy above the lowest structure with this stoichiometry: 4.0 meV/atom
- Space group: No. 217
- Calculated formation energy: -0.7 kcal/mol of atoms

Lattice parameters (Å, degrees): 9.111 9.111 9.111 109.47 109.47 109.47
Sites, in units of the cell vectors:
Li1 0.000 0.000 0.000
Mg1 0.000 0.000 0.662
Mg2 0.000 0.399 0.685
Mg3 0.000 0.662 0.000
Mg4 0.000 0.685 0.399
Mg5 0.286 0.601 0.601
Mg6 0.315 0.315 0.714
Mg7 0.315 0.714 0.315
Mg8 0.338 0.338 0.338
Mg9 0.399 0.000 0.685
Mg10 0.399 0.685 0.000
Mg11 0.601 0.286 0.601
Mg12 0.601 0.601 0.286
Mg13 0.662 0.000 0.000
Mg14 0.685 0.000 0.399
Mg15 0.685 0.399 0.000
Mg16 0.714 0.315 0.315
Al1 0.000 0.186 0.368
Al2 0.000 0.368 0.186
Al3 0.181 0.814 0.814
Al4 0.186 0.000 0.368
Al5 0.186 0.368 0.000
Al6 0.368 0.000 0.186
Al7 0.368 0.186 0.000
Al8 0.632 0.632 0.819
Al9 0.632 0.819 0.632
Al10 0.814 0.181 0.814
Al11 0.814 0.814 0.181
Al12 0.819 0.632 0.632


Entry 2:
VASP calculation (PBE) on LiMg16Al12 after structural relaxation.

Output
- Energy: -73.41 eV per cell
- Calculated volume: 581.4 Å³ per cell
- Energy above the lowest structure with this stoichiometry: 0.1 meV/atom
- Space group: No. 160
- Calculated formation energy: -0.8 kcal/mol of atoms

Lattice parameters (Å, degrees): 9.115 9.115 9.115 109.55 109.55 109.55
Sites, in units of the cell vectors:
Li1 0.000 0.000 0.000
Mg1 0.067 0.353 0.667
Mg2 0.067 0.667 0.353
Mg3 0.264 0.264 0.954
Mg4 0.264 0.954 0.264
Mg5 0.323 0.667 0.667
Mg6 0.353 0.067 0.667
Mg7 0.353 0.667 0.067
Mg8 0.383 0.982 0.982
Mg9 0.667 0.067 0.353
Mg10 0.667 0.323 0.667
Mg11 0.667 0.353 0.067
Mg12 0.667 0.667 0.323
Mg13 0.671 0.671 0.671
Mg14 0.954 0.264 0.264
Mg15 0.982 0.383 0.982
Mg16 0.982 0.982 0.383
Al1 0.033 0.667 0.852
Al2 0.033 0.852 0.667
Al3 0.303 0.303 0.488
Al4 0.303 0.488 0.303
Al5 0.481 0.481 0.850
Al6 0.481 0.850 0.481
Al7 0.488 0.303 0.303
Al8 0.667 0.033 0.852
Al9 0.667 0.852 0.033
Al10 0.850 0.481 0.481
Al11 0.852 0.033 0.667
Al12 0.852 0.667 0.033


Entry 3:
VASP calculation (PBE) on LiMg16Al12 after structural relaxation.

Output
- Energy: -73.42 eV per cell
- Calculated volume: 581.0 Å³ per cell
- Energy above the lowest structure with this stoichiometry: 0.0 meV/atom
- Space group: No. 8
- Calculated formation energy: -0.8 kcal/mol of atoms

Lattice parameters (Å, degrees): 9.078 9.078 9.116 109.44 109.44 109.17
Sites, in units of the cell vectors:
Li1 0.000 0.000 0.000
Mg1 0.000 0.602 0.393
Mg2 0.030 0.717 0.107
Mg3 0.307 0.307 0.052
Mg4 0.315 0.919 0.024
Mg5 0.316 0.661 0.708
Mg6 0.317 0.317 0.710
Mg7 0.317 0.632 0.311
Mg8 0.602 0.000 0.393
Mg9 0.632 0.317 0.311
Mg10 0.637 0.917 0.712
Mg11 0.661 0.316 0.708
Mg12 0.713 0.713 0.421
Mg13 0.717 0.030 0.107
Mg14 0.917 0.637 0.712
Mg15 0.919 0.315 0.024
Mg16 0.973 0.973 0.366
Al1 0.129 0.314 0.340
Al2 0.131 0.949 0.708
Al3 0.135 0.502 0.894
Al4 0.314 0.129 0.340
Al5 0.318 0.950 0.525
Al6 0.496 0.682 0.074
Al7 0.501 0.501 0.529
Al8 0.502 0.135 0.894
Al9 0.682 0.496 0.074
Al10 0.685 0.685 0.891
Al11 0.949 0.131 0.708
Al12 0.950 0.318 0.525